A relaxed structure of CaZn2. Source: the Materials Project database, functional PBE.

Values from the calculation:
SG	No. 74
ΔE_f	-0.30	eV per atom

The structure in POSCAR format:
```
CaZn2
1.0
4.5902 0.0000 0.0000
2.2951 3.6924 3.7916
2.2951 -3.6924 3.7916
Ca Zn
2 4
direct
0.5503 0.6997 0.1997 Ca
0.4497 0.3003 0.8003 Ca
0.1640 0.2744 0.3975 Zn
0.1640 0.8975 0.7744 Zn
0.8360 0.1025 0.2256 Zn
0.8360 0.7256 0.6025 Zn
```